A:
Entry from the Materials Project database: a relaxed LiMnP2HO7 crystal (GGA+U).

Values from the calculation:
- Crystal system: monoclinic

a = 5.2324 Å, b = 12.9155 Å, c = 8.9820 Å
α = 90.00°, β = 115.49°, γ = 90.00°
Space group P2_1/c (No. 14)
One atom of each set of equivalent atoms:
Li1 0.1870 0.0145 0.3770 [4 per cell]
Mn1 0.1211 0.6259 0.5137 [4 per cell]
P1 0.1969 0.1681 0.7278 [4 per cell]
P2 0.4071 0.5443 0.2493 [4 per cell]
H1 0.4870 0.6810 0.1120 [4 per cell]
O1 0.0334 0.6220 0.7307 [4 per cell]
O2 0.0997 0.2424 0.5854 [4 per cell]
O3 0.1643 0.5922 0.2736 [4 per cell]
O4 0.2987 0.0647 0.6506 [4 per cell]
O5 0.3132 0.0262 0.1005 [4 per cell]
O6 0.4672 0.2050 0.8763 [4 per cell]
O7 0.4669 0.5989 0.1081 [4 per cell]

B:
Entry from the Materials Project database: a relaxed LiMnP2HO7 crystal (GGA+U).

Values from the calculation:
- Crystal system: triclinic

a = 6.4522 Å, b = 8.7304 Å, c = 9.9422 Å
α = 91.52°, β = 107.86°, γ = 102.10°
Space group P-1 (No. 2)
One atom of each set of equivalent atoms:
Li1 0.1858 0.4934 0.1159 [2 per cell]
Li2 0.2247 0.9798 0.6255 [2 per cell]
Mn1 0.1415 0.0315 0.2153 [2 per cell]
Mn2 0.2927 0.5771 0.6908 [2 per cell]
P1 0.2463 0.7765 0.9346 [2 per cell]
P2 0.2596 0.2885 0.4382 [2 per cell]
P3 0.3048 0.7530 0.3655 [2 per cell]
P4 0.3170 0.2569 0.8726 [2 per cell]
H1 0.0662 0.7062 0.4883 [2 per cell]
H2 0.0912 0.2199 0.0035 [2 per cell]
O1 0.1070 0.8921 0.9664 [2 per cell]
O2 0.1344 0.4039 0.4834 [2 per cell]
O3 0.1342 0.6365 0.2532 [2 per cell]
O4 0.1350 0.1161 0.4295 [2 per cell]
O5 0.1434 0.1319 0.7623 [2 per cell]
O6 0.1443 0.6078 0.9467 [2 per cell]
O7 0.2246 0.7731 0.5020 [2 per cell]
O8 0.2354 0.2945 0.0014 [2 per cell]
O9 0.2876 0.7965 0.7909 [2 per cell]
O10 0.3273 0.3145 0.3035 [2 per cell]
O11 0.3943 0.9166 0.3268 [2 per cell]
O12 0.4096 0.4091 0.8204 [2 per cell]
O13 0.4838 0.8316 0.0605 [2 per cell]
O14 0.4863 0.3255 0.5712 [2 per cell]

Which of them is most stable? Easy: A.

A:
Entry from the Materials Project database: a relaxed RbMg6WO8 crystal (GGA+U).

Values from the calculation:
- Crystal system: tetragonal

a = 4.5716 Å, b = 4.5716 Å, c = 9.0665 Å
α = 90.00°, β = 90.00°, γ = 90.00°
Space group P4/mmm (No. 123)
One atom of each set of equivalent atoms:
Rb1 0.0000 0.0000 0.0000 [1 per cell]
Mg1 0.0000 0.5000 0.2366 [4 per cell]
Mg2 0.5000 0.5000 0.0000 [1 per cell]
Mg3 0.5000 0.5000 0.5000 [1 per cell]
W1 0.0000 0.0000 0.5000 [1 per cell]
O1 0.0000 0.0000 0.2711 [2 per cell]
O2 0.0000 0.5000 0.0000 [2 per cell]
O3 0.0000 0.5000 0.5000 [2 per cell]
O4 0.5000 0.5000 0.2542 [2 per cell]

B:
Entry from the Materials Project database: a relaxed RbMg6WO8 crystal (GGA+U).

Values from the calculation:
- Crystal system: tetragonal

a = 4.5795 Å, b = 4.5795 Å, c = 8.8705 Å
α = 90.00°, β = 90.00°, γ = 90.00°
Space group P4/mmm (No. 123)
One atom of each set of equivalent atoms:
Rb1 0.0000 0.0000 0.0000 [1 per cell]
Mg1 0.0000 0.0000 0.5000 [1 per cell]
Mg2 0.0000 0.5000 0.2639 [4 per cell]
Mg3 0.5000 0.5000 0.5000 [1 per cell]
W1 0.5000 0.5000 0.0000 [1 per cell]
O1 0.0000 0.0000 0.2826 [2 per cell]
O2 0.0000 0.5000 0.0000 [2 per cell]
O3 0.0000 0.5000 0.5000 [2 per cell]
O4 0.5000 0.5000 0.2524 [2 per cell]

Which of them is most stable? Easy: B.

A:
Entry from the Materials Project database: a relaxed Cr3FeO6 crystal (GGA+U).

Values from the calculation:
- Crystal system: triclinic

a = 9.3166 Å, b = 10.4838 Å, c = 10.6024 Å
α = 84.89°, β = 85.46°, γ = 83.46°
Space group P1 (No. 1)
One atom of each set of equivalent atoms:
Cr1 0.0000 0.0000 0.0000 [1 per cell]
Cr2 0.0172 0.7376 0.8700 [1 per cell]
Cr3 0.0881 0.1742 0.6646 [1 per cell]
Cr4 0.1456 0.4309 0.3913 [1 per cell]
Cr5 0.1979 0.9385 0.2038 [1 per cell]
Cr6 0.2339 0.6859 0.1564 [1 per cell]
Cr7 0.2899 0.1676 0.4198 [1 per cell]
Cr8 0.3610 0.2308 0.8539 [1 per cell]
Cr9 0.3656 0.8830 0.8991 [1 per cell]
Cr10 0.3700 0.3960 0.6236 [1 per cell]
Cr11 0.5313 0.3090 0.3444 [1 per cell]
Cr12 0.5853 0.6853 0.9872 [1 per cell]
Cr13 0.6164 0.8668 0.4869 [1 per cell]
Cr14 0.6511 0.8779 0.1363 [1 per cell]
Cr15 0.6561 0.1677 0.0136 [1 per cell]
Cr16 0.6578 0.4841 0.6236 [1 per cell]
Cr17 0.6904 0.5808 0.2972 [1 per cell]
Cr18 0.7146 0.7983 0.7554 [1 per cell]
Cr19 0.7444 0.2059 0.7044 [1 per cell]
Cr20 0.8617 0.1487 0.2602 [1 per cell]
Cr21 0.8820 0.8251 0.2961 [1 per cell]
Cr22 0.9059 0.9400 0.5527 [1 per cell]
Cr23 0.9692 0.6752 0.5976 [1 per cell]
Cr24 0.9777 0.5295 0.1433 [1 per cell]
Fe1 0.1402 0.4588 0.8898 [1 per cell]
Fe2 0.2190 0.2336 0.1645 [1 per cell]
Fe3 0.2558 0.8265 0.6259 [1 per cell]
Fe4 0.4057 0.5994 0.8163 [1 per cell]
Fe5 0.4669 0.0744 0.6338 [1 per cell]
Fe6 0.4871 0.4356 0.0823 [1 per cell]
Fe7 0.8150 0.5192 0.8493 [1 per cell]
Fe8 0.9861 0.2509 0.9754 [1 per cell]
O1 0.0361 0.5900 0.7694 [1 per cell]
O2 0.0383 0.0964 0.1421 [1 per cell]
O3 0.0384 0.1082 0.8539 [1 per cell]
O4 0.0490 0.5190 0.5113 [1 per cell]
O5 0.0587 0.3824 0.2425 [1 per cell]
O6 0.0883 0.6500 0.0359 [1 per cell]
O7 0.0893 0.8069 0.2541 [1 per cell]
O8 0.0937 0.8152 0.5321 [1 per cell]
O9 0.1154 0.2508 0.4784 [1 per cell]
O10 0.1975 0.9238 0.0257 [1 per cell]
O11 0.1999 0.2787 0.9745 [1 per cell]
O12 0.2238 0.7861 0.8129 [1 per cell]
O13 0.2324 0.5518 0.2648 [1 per cell]
O14 0.2568 0.0668 0.2878 [1 per cell]
O15 0.2879 0.2305 0.6827 [1 per cell]
O16 0.3348 0.4258 0.8060 [1 per cell]
O17 0.3404 0.3774 0.4432 [1 per cell]
O18 0.3472 0.8040 0.2019 [1 per cell]
O19 0.3880 0.6119 0.0320 [1 per cell]
O20 0.4010 0.3044 0.2043 [1 per cell]
O21 0.4136 0.0480 0.8245 [1 per cell]
O22 0.4279 0.8976 0.5579 [1 per cell]
O23 0.4685 0.5562 0.6277 [1 per cell]
O24 0.4827 0.1462 0.4492 [1 per cell]
O25 0.5059 0.2760 0.9702 [1 per cell]
O26 0.5135 0.7575 0.8129 [1 per cell]
O27 0.5420 0.8735 0.0009 [1 per cell]
O28 0.5708 0.3125 0.6301 [1 per cell]
O29 0.5851 0.4624 0.2297 [1 per cell]
O30 0.5990 0.0621 0.1331 [1 per cell]
O31 0.6225 0.5068 0.9367 [1 per cell]
O32 0.6443 0.6943 0.1514 [1 per cell]
O33 0.6591 0.8502 0.3136 [1 per cell]
O34 0.6797 0.9532 0.6240 [1 per cell]
O35 0.7147 0.5145 0.4642 [1 per cell]
O36 0.7272 0.2492 0.3428 [1 per cell]
O37 0.7334 0.1109 0.8707 [1 per cell]
O38 0.7608 0.6267 0.6836 [1 per cell]
O39 0.7882 0.3777 0.7343 [1 per cell]
O40 0.7939 0.2349 0.0823 [1 per cell]
O41 0.7948 0.7022 0.9095 [1 per cell]
O42 0.8372 0.7852 0.4820 [1 per cell]
O43 0.8510 0.8963 0.1047 [1 per cell]
O44 0.8806 0.6370 0.2619 [1 per cell]
O45 0.8970 0.9961 0.3657 [1 per cell]
O46 0.9055 0.1141 0.6215 [1 per cell]
O47 0.9160 0.8281 0.7203 [1 per cell]
O48 0.9421 0.4431 0.9842 [1 per cell]

B:
Entry from the Materials Project database: a relaxed Cr3FeO6 crystal (GGA+U).

Values from the calculation:
- Crystal system: triclinic

a = 9.5763 Å, b = 10.1577 Å, c = 10.4808 Å
α = 89.25°, β = 81.80°, γ = 85.57°
Space group P1 (No. 1)
One atom of each set of equivalent atoms:
Cr1 0.0000 0.0000 0.0000 [1 per cell]
Cr2 0.0092 0.1707 0.5275 [1 per cell]
Cr3 0.1548 0.7032 0.0837 [1 per cell]
Cr4 0.1706 0.4817 0.3195 [1 per cell]
Cr5 0.2233 0.3297 0.7228 [1 per cell]
Cr6 0.2288 0.4157 0.9954 [1 per cell]
Cr7 0.3200 0.5677 0.5442 [1 per cell]
Cr8 0.3637 0.1586 0.5438 [1 per cell]
Cr9 0.3786 0.6393 0.8474 [1 per cell]
Cr10 0.4368 0.8077 0.5256 [1 per cell]
Cr11 0.4686 0.4401 0.1148 [1 per cell]
Cr12 0.4907 0.3159 0.3557 [1 per cell]
Cr13 0.5023 0.3567 0.7984 [1 per cell]
Cr14 0.6399 0.6537 0.9703 [1 per cell]
Cr15 0.6639 0.5695 0.4842 [1 per cell]
Cr16 0.6656 0.9139 0.9442 [1 per cell]
Cr17 0.6687 0.8168 0.2667 [1 per cell]
Cr18 0.7694 0.4532 0.7216 [1 per cell]
Cr19 0.8191 0.1158 0.7955 [1 per cell]
Cr20 0.9008 0.3803 0.2654 [1 per cell]
Cr21 0.9373 0.0085 0.3418 [1 per cell]
Cr22 0.9483 0.6561 0.4152 [1 per cell]
Cr23 0.9535 0.4003 0.9574 [1 per cell]
Cr24 0.9875 0.6924 0.8986 [1 per cell]
Fe1 0.1799 0.1719 0.2563 [1 per cell]
Fe2 0.1945 0.8549 0.3437 [1 per cell]
Fe3 0.2029 0.0112 0.7513 [1 per cell]
Fe4 0.3553 0.9191 0.0163 [1 per cell]
Fe5 0.6034 0.1863 0.0246 [1 per cell]
Fe6 0.6510 0.9870 0.4762 [1 per cell]
Fe7 0.7345 0.2636 0.5090 [1 per cell]
Fe8 0.7499 0.7924 0.6889 [1 per cell]
O1 0.0257 0.0502 0.1794 [1 per cell]
O2 0.0527 0.5422 0.0062 [1 per cell]
O3 0.0825 0.6376 0.2522 [1 per cell]
O4 0.1155 0.2991 0.8997 [1 per cell]
O5 0.1213 0.0436 0.4017 [1 per cell]
O6 0.1319 0.3568 0.1835 [1 per cell]
O7 0.1615 0.1886 0.6246 [1 per cell]
O8 0.1705 0.6227 0.4686 [1 per cell]
O9 0.1932 0.7296 0.8912 [1 per cell]
O10 0.2073 0.0057 0.9447 [1 per cell]
O11 0.2672 0.8283 0.1600 [1 per cell]
O12 0.3109 0.4646 0.8130 [1 per cell]
O13 0.3307 0.5672 0.0417 [1 per cell]
O14 0.3326 0.3890 0.5490 [1 per cell]
O15 0.3335 0.2051 0.3634 [1 per cell]
O16 0.3460 0.9732 0.5953 [1 per cell]
O17 0.3602 0.6848 0.6649 [1 per cell]
O18 0.3772 0.4584 0.2763 [1 per cell]
O19 0.3912 0.2183 0.7298 [1 per cell]
O20 0.4242 0.3199 0.9895 [1 per cell]
O21 0.4755 0.6238 0.4407 [1 per cell]
O22 0.4927 0.7849 0.9167 [1 per cell]
O23 0.4990 0.8805 0.3561 [1 per cell]
O24 0.5037 0.0318 0.0253 [1 per cell]
O25 0.5682 0.1767 0.4715 [1 per cell]
O26 0.5717 0.2824 0.1789 [1 per cell]
O27 0.5876 0.5378 0.8341 [1 per cell]
O28 0.6144 0.5332 0.0999 [1 per cell]
O29 0.6201 0.4081 0.6223 [1 per cell]
O30 0.6259 0.8091 0.5593 [1 per cell]
O31 0.6624 0.7931 0.0995 [1 per cell]
O32 0.6766 0.2676 0.8527 [1 per cell]
O33 0.6974 0.9798 0.7673 [1 per cell]
O34 0.6987 0.4049 0.3757 [1 per cell]
O35 0.7586 0.9633 0.2924 [1 per cell]
O36 0.7658 0.6725 0.3428 [1 per cell]
O37 0.7821 0.0590 0.9840 [1 per cell]
O38 0.7969 0.7565 0.8663 [1 per cell]
O39 0.8138 0.6058 0.5947 [1 per cell]
O40 0.8381 0.0666 0.5220 [1 per cell]
O41 0.8526 0.3418 0.0923 [1 per cell]
O42 0.8697 0.2781 0.6487 [1 per cell]
O43 0.9048 0.5102 0.8306 [1 per cell]
O44 0.9139 0.2226 0.3687 [1 per cell]
O45 0.9789 0.4624 0.4032 [1 per cell]
O46 0.9833 0.8425 0.4040 [1 per cell]
O47 0.9839 0.8139 0.0437 [1 per cell]
O48 0.9959 0.0126 0.8092 [1 per cell]

Which of them is most stable? Easy: B.

A:
Entry from the Materials Project database: a relaxed Ca2LaMn2O7 crystal (GGA+U).

Values from the calculation:
- Crystal system: tetragonal

a = 3.8879 Å, b = 3.8879 Å, c = 19.4124 Å
α = 90.00°, β = 90.00°, γ = 90.00°
Space group I4/mmm (No. 139)
One atom of each set of equivalent atoms:
Ca1 0.0000 0.0000 0.1850 [4 per cell]
La1 0.0000 0.0000 0.0000 [2 per cell]
Mn1 0.0000 0.0000 0.3978 [4 per cell]
O1 0.0000 0.0000 0.3004 [4 per cell]
O2 0.0000 0.0000 0.5000 [2 per cell]
O3 0.0000 0.5000 0.0962 [8 per cell]

B:
Entry from the Materials Project database: a relaxed Ca2LaMn2O7 crystal (GGA+U).

Values from the calculation:
- Crystal system: orthorhombic

a = 5.5085 Å, b = 19.3568 Å, c = 5.5086 Å
α = 90.00°, β = 90.00°, γ = 90.00°
Space group Cmcm (No. 63)
One atom of each set of equivalent atoms:
Ca1 0.0000 0.0655 0.2500 [4 per cell]
Ca2 0.0000 0.4347 0.2500 [4 per cell]
La1 0.0000 0.2500 0.2500 [4 per cell]
Mn1 0.0000 0.1470 0.7500 [4 per cell]
Mn2 0.0000 0.3518 0.7500 [4 per cell]
O1 0.0000 0.0499 0.7500 [4 per cell]
O2 0.0000 0.2484 0.7500 [4 per cell]
O3 0.0000 0.4491 0.7500 [4 per cell]
O4 0.2414 0.3461 0.5084 [16 per cell]

Which of them is most stable? Easy: A.

A:
Entry from the Materials Project database: a relaxed NaPrEuWO6 crystal (GGA+U).

Values from the calculation:
- Crystal system: orthorhombic

a = 8.3917 Å, b = 8.4026 Å, c = 8.4334 Å
α = 90.00°, β = 90.00°, γ = 90.00°
Space group Pnnn (No. 48, origin choice 2)
One atom of each set of equivalent atoms:
Na1 0.2500 0.2500 0.2500 [2 per cell]
Na2 0.2500 0.2500 0.7500 [2 per cell]
Pr1 0.0000 0.0000 0.0000 [4 per cell]
Eu1 0.2500 0.7500 0.2500 [2 per cell]
Eu2 0.2500 0.7500 0.7500 [2 per cell]
W1 0.0000 0.0000 0.5000 [4 per cell]
O1 0.0356 0.2243 0.4476 [8 per cell]
O2 0.0489 0.0410 0.7251 [8 per cell]
O3 0.2264 0.5543 0.0375 [8 per cell]

B:
Entry from the Materials Project database: a relaxed NaPrEuWO6 crystal (GGA+U).

Values from the calculation:
- Crystal system: cubic

a = 8.5413 Å, b = 8.5413 Å, c = 8.5413 Å
α = 90.00°, β = 90.00°, γ = 90.00°
Space group F-43m (No. 216)
One atom of each set of equivalent atoms:
Na1 0.0000 0.0000 0.0000 [4 per cell]
Pr1 0.2500 0.2500 0.2500 [4 per cell]
Eu1 0.0000 0.0000 0.5000 [4 per cell]
W1 0.2500 0.2500 0.7500 [4 per cell]
O1 0.0223 0.2500 0.7500 [24 per cell]

Which of them is most stable? Easy: A.